Run P
The following is a PBE with a Hubbard U calculation of a relaxed structure of Li2Fe2Si2O7, from Materials Project.

a b c (Å): 5.369 9.645 9.313
angles (deg): 118.65 90.03 104.76
Positions (direct):
Si (0.151, 0.298, 0.149)
Si (0.349, 0.702, 0.350)
Si (0.651, 0.298, 0.649)
Si (0.849, 0.702, 0.851)
Fe (0.883, 0.773, 0.553)
Fe (0.383, 0.773, 0.053)
Fe (0.617, 0.227, 0.948)
Fe (0.117, 0.227, 0.448)
O (0.768, 0.232, 0.761)
O (0.239, 0.768, 0.529)
O (0.250, 0.500, 0.249)
O (0.669, 0.763, 0.379)
O (0.261, 0.232, 0.970)
O (0.831, 0.237, 0.121)
O (0.233, 0.769, 0.240)
O (0.331, 0.237, 0.621)
O (0.761, 0.232, 0.470)
O (0.268, 0.232, 0.261)
O (0.739, 0.768, 0.029)
O (0.750, 0.500, 0.749)
O (0.169, 0.763, 0.879)
O (0.733, 0.769, 0.740)
Li (0.384, 0.777, 0.721)
Li (0.616, 0.223, 0.279)
Li (0.116, 0.223, 0.779)
Li (0.884, 0.777, 0.221)

Run Q
The following is a PBE with a Hubbard U calculation of a relaxed structure of Li2Fe2Si2O7, from Materials Project.

a b c (Å): 5.532 13.371 10.000
angles (deg): 90.00 123.10 90.00
Positions (direct):
Li (0.028, 0.246, 0.333)
Li (0.028, 0.254, 0.833)
Li (0.239, 0.126, 0.106)
Li (0.239, 0.374, 0.606)
Li (0.761, 0.626, 0.394)
Li (0.761, 0.874, 0.894)
Li (0.972, 0.746, 0.167)
Li (0.972, 0.754, 0.667)
Fe (0.171, 0.508, 0.295)
Fe (0.171, 0.992, 0.795)
Fe (0.449, 0.087, 0.618)
Fe (0.449, 0.413, 0.118)
Fe (0.551, 0.587, 0.882)
Fe (0.551, 0.913, 0.382)
Fe (0.829, 0.008, 0.205)
Fe (0.829, 0.492, 0.705)
Si (0.234, 0.617, 0.034)
Si (0.234, 0.883, 0.534)
Si (0.368, 0.671, 0.536)
Si (0.368, 0.829, 0.036)
Si (0.632, 0.171, 0.964)
Si (0.632, 0.329, 0.464)
Si (0.766, 0.117, 0.466)
Si (0.766, 0.383, 0.966)
O (0.072, 0.162, 0.509)
O (0.072, 0.338, 0.009)
O (0.084, 0.640, 0.359)
O (0.084, 0.860, 0.859)
O (0.209, 0.535, 0.905)
O (0.209, 0.965, 0.405)
O (0.294, 0.656, 0.671)
O (0.294, 0.844, 0.171)
O (0.337, 0.116, 0.932)
O (0.337, 0.384, 0.432)
O (0.416, 0.562, 0.210)
O (0.416, 0.938, 0.710)
O (0.438, 0.708, 0.029)
O (0.438, 0.792, 0.529)
O (0.562, 0.208, 0.471)
O (0.562, 0.292, 0.971)
O (0.584, 0.062, 0.290)
O (0.584, 0.438, 0.790)
O (0.663, 0.616, 0.568)
O (0.663, 0.884, 0.068)
O (0.706, 0.156, 0.829)
O (0.706, 0.344, 0.329)
O (0.791, 0.035, 0.595)
O (0.791, 0.465, 0.095)
O (0.916, 0.140, 0.141)
O (0.916, 0.360, 0.641)
O (0.928, 0.662, 0.991)
O (0.928, 0.838, 0.491)

Stability, highest: run Q

Run P
The following is a PBE with a Hubbard U calculation of a relaxed structure of Li2Fe2Si4O11, from Materials Project.

a b c (Å): 7.052 7.540 8.768
angles (deg): 99.46 101.17 104.72
Positions (direct):
Li (0.204, 0.302, 0.390)
Li (0.246, 0.349, 0.855)
Li (0.754, 0.651, 0.145)
Li (0.796, 0.698, 0.610)
Fe (0.379, 0.111, 0.118)
Fe (0.382, 0.102, 0.629)
Fe (0.618, 0.898, 0.371)
Fe (0.621, 0.889, 0.882)
Si (0.025, 0.904, 0.232)
Si (0.222, 0.725, 0.521)
Si (0.223, 0.733, 0.958)
Si (0.390, 0.533, 0.240)
Si (0.610, 0.467, 0.760)
Si (0.777, 0.267, 0.042)
Si (0.778, 0.275, 0.479)
Si (0.975, 0.096, 0.768)
O (0.038, 0.774, 0.380)
O (0.047, 0.792, 0.022)
O (0.151, 0.682, 0.710)
O (0.192, 0.065, 0.323)
O (0.194, 0.085, 0.817)
O (0.260, 0.559, 0.399)
O (0.261, 0.567, 0.025)
O (0.382, 0.345, 0.184)
O (0.405, 0.345, 0.677)
O (0.408, 0.869, 0.582)
O (0.413, 0.873, 0.061)
O (0.587, 0.127, 0.939)
O (0.592, 0.131, 0.418)
O (0.595, 0.655, 0.323)
O (0.618, 0.655, 0.816)
O (0.739, 0.433, 0.975)
O (0.740, 0.441, 0.601)
O (0.806, 0.915, 0.183)
O (0.808, 0.935, 0.677)
O (0.849, 0.318, 0.290)
O (0.953, 0.208, 0.978)
O (0.962, 0.226, 0.620)

Run Q
The following is a PBE with a Hubbard U calculation of a relaxed structure of Li2Fe2Si4O11, from Materials Project.

a b c (Å): 7.077 7.656 9.621
angles (deg): 97.39 101.83 110.94
Positions (direct):
Li (0.089, 0.412, 0.064)
Li (0.374, 0.617, 0.946)
Li (0.626, 0.383, 0.054)
Li (0.911, 0.588, 0.936)
Fe (0.112, 0.656, 0.710)
Fe (0.331, 0.226, 0.255)
Fe (0.669, 0.774, 0.745)
Fe (0.888, 0.344, 0.290)
Si (0.047, 0.776, 0.260)
Si (0.220, 0.026, 0.900)
Si (0.247, 0.368, 0.551)
Si (0.472, 0.776, 0.267)
Si (0.528, 0.224, 0.733)
Si (0.753, 0.632, 0.449)
Si (0.780, 0.974, 0.100)
Si (0.953, 0.224, 0.740)
O (0.004, 0.056, 0.813)
O (0.026, 0.244, 0.588)
O (0.064, 0.433, 0.850)
O (0.142, 0.803, 0.909)
O (0.184, 0.352, 0.375)
O (0.305, 0.867, 0.307)
O (0.339, 0.589, 0.650)
O (0.350, 0.182, 0.052)
O (0.356, 0.043, 0.777)
O (0.377, 0.586, 0.140)
O (0.410, 0.261, 0.579)
O (0.590, 0.739, 0.421)
O (0.623, 0.414, 0.860)
O (0.644, 0.957, 0.223)
O (0.650, 0.818, 0.948)
O (0.661, 0.411, 0.350)
O (0.695, 0.133, 0.693)
O (0.816, 0.648, 0.625)
O (0.858, 0.197, 0.091)
O (0.936, 0.567, 0.150)
O (0.974, 0.756, 0.412)
O (0.996, 0.944, 0.187)

Run R
The following is a PBE with a Hubbard U calculation of a relaxed structure of Li2Fe2Si4O11, from Materials Project.

a b c (Å): 7.047 7.581 8.794
angles (deg): 99.97 101.13 104.42
Positions (direct):
Li (0.111, 0.288, 0.197)
Li (0.360, 0.750, 0.848)
Li (0.640, 0.250, 0.152)
Li (0.889, 0.712, 0.803)
Fe (0.128, 0.882, 0.602)
Fe (0.383, 0.123, 0.388)
Fe (0.617, 0.877, 0.612)
Fe (0.872, 0.118, 0.398)
Si (0.022, 0.724, 0.227)
Si (0.261, 0.113, 0.966)
Si (0.268, 0.474, 0.598)
Si (0.459, 0.726, 0.234)
Si (0.541, 0.274, 0.766)
Si (0.732, 0.526, 0.402)
Si (0.739, 0.887, 0.034)
Si (0.978, 0.276, 0.773)
O (0.084, 0.910, 0.371)
O (0.101, 0.240, 0.938)
O (0.116, 0.458, 0.725)
O (0.177, 0.907, 0.845)
O (0.179, 0.311, 0.435)
O (0.211, 0.654, 0.183)
O (0.316, 0.126, 0.154)
O (0.318, 0.693, 0.594)
O (0.439, 0.086, 0.625)
O (0.476, 0.236, 0.931)
O (0.476, 0.449, 0.709)
O (0.524, 0.551, 0.291)
O (0.524, 0.764, 0.069)
O (0.561, 0.914, 0.375)
O (0.682, 0.307, 0.406)
O (0.684, 0.874, 0.846)
O (0.789, 0.346, 0.817)
O (0.821, 0.689, 0.565)
O (0.823, 0.093, 0.155)
O (0.884, 0.542, 0.275)
O (0.899, 0.760, 0.062)
O (0.916, 0.090, 0.629)

Stability, highest: run R

Run P
The following is a PBE with a Hubbard U calculation of a relaxed structure of LiFeSi2O6, from Materials Project.

a b c (Å): 5.310 18.244 8.839
angles (deg): 90.00 90.00 90.00
Positions (direct):
Li (0.115, 0.125, 0.000)
Li (0.115, 0.375, 0.500)
Li (0.385, 0.625, 0.000)
Li (0.385, 0.875, 0.500)
Li (0.615, 0.125, 0.500)
Li (0.615, 0.375, 0.000)
Li (0.885, 0.625, 0.500)
Li (0.885, 0.875, 0.000)
Fe (0.116, 0.125, 0.353)
Fe (0.116, 0.375, 0.853)
Fe (0.384, 0.625, 0.353)
Fe (0.384, 0.875, 0.853)
Fe (0.616, 0.125, 0.147)
Fe (0.616, 0.375, 0.647)
Fe (0.884, 0.625, 0.147)
Fe (0.884, 0.875, 0.647)
Si (0.057, 0.726, 0.839)
Si (0.057, 0.774, 0.339)
Si (0.217, 0.025, 0.663)
Si (0.217, 0.475, 0.163)
Si (0.283, 0.525, 0.663)
Si (0.283, 0.975, 0.163)
Si (0.443, 0.226, 0.839)
Si (0.443, 0.274, 0.339)
Si (0.557, 0.726, 0.661)
Si (0.557, 0.774, 0.161)
Si (0.717, 0.025, 0.837)
Si (0.717, 0.475, 0.337)
Si (0.783, 0.525, 0.837)
Si (0.783, 0.975, 0.337)
Si (0.943, 0.226, 0.661)
Si (0.943, 0.274, 0.161)
O (0.051, 0.691, 0.007)
O (0.051, 0.809, 0.507)
O (0.057, 0.684, 0.332)
O (0.057, 0.816, 0.832)
O (0.066, 0.552, 0.784)
O (0.066, 0.948, 0.284)
O (0.176, 0.196, 0.767)
O (0.176, 0.304, 0.267)
O (0.212, 0.566, 0.167)
O (0.212, 0.934, 0.667)
O (0.215, 0.563, 0.502)
O (0.215, 0.937, 0.002)
O (0.285, 0.063, 0.502)
O (0.285, 0.437, 0.002)
O (0.288, 0.066, 0.167)
O (0.288, 0.434, 0.667)
O (0.324, 0.696, 0.767)
O (0.324, 0.804, 0.267)
O (0.434, 0.052, 0.784)
O (0.434, 0.448, 0.284)
O (0.443, 0.184, 0.332)
O (0.443, 0.316, 0.832)
O (0.449, 0.191, 0.007)
O (0.449, 0.309, 0.507)
O (0.551, 0.691, 0.493)
O (0.551, 0.809, 0.993)
O (0.557, 0.684, 0.168)
O (0.557, 0.816, 0.668)
O (0.566, 0.552, 0.716)
O (0.566, 0.948, 0.216)
O (0.676, 0.196, 0.733)
O (0.676, 0.304, 0.233)
O (0.712, 0.566, 0.333)
O (0.712, 0.934, 0.833)
O (0.715, 0.563, 0.998)
O (0.715, 0.937, 0.498)
O (0.785, 0.063, 0.998)
O (0.785, 0.437, 0.498)
O (0.788, 0.066, 0.333)
O (0.788, 0.434, 0.833)
O (0.824, 0.696, 0.733)
O (0.824, 0.804, 0.233)
O (0.934, 0.052, 0.716)
O (0.934, 0.448, 0.216)
O (0.943, 0.184, 0.168)
O (0.943, 0.316, 0.668)
O (0.949, 0.191, 0.493)
O (0.949, 0.309, 0.993)

Run Q
The following is a PBE with a Hubbard U calculation of a relaxed structure of LiFeSi2O6, from Materials Project.

a b c (Å): 5.343 18.788 10.431
angles (deg): 90.00 90.00 90.00
Positions (direct):
Li (0.025, 0.124, 0.054)
Li (0.025, 0.376, 0.554)
Li (0.475, 0.624, 0.054)
Li (0.475, 0.876, 0.554)
Li (0.525, 0.124, 0.446)
Li (0.525, 0.376, 0.946)
Li (0.975, 0.624, 0.446)
Li (0.975, 0.876, 0.946)
Fe (0.024, 0.125, 0.461)
Fe (0.024, 0.375, 0.961)
Fe (0.476, 0.625, 0.461)
Fe (0.476, 0.875, 0.961)
Fe (0.524, 0.125, 0.039)
Fe (0.524, 0.375, 0.539)
Fe (0.976, 0.625, 0.039)
Fe (0.976, 0.875, 0.539)
Si (0.197, 0.732, 0.667)
Si (0.197, 0.768, 0.167)
Si (0.246, 0.018, 0.833)
Si (0.246, 0.482, 0.333)
Si (0.254, 0.518, 0.833)
Si (0.254, 0.982, 0.333)
Si (0.303, 0.232, 0.667)
Si (0.303, 0.268, 0.167)
Si (0.697, 0.732, 0.833)
Si (0.697, 0.768, 0.333)
Si (0.746, 0.018, 0.667)
Si (0.746, 0.482, 0.167)
Si (0.754, 0.518, 0.667)
Si (0.754, 0.982, 0.167)
Si (0.803, 0.232, 0.833)
Si (0.803, 0.268, 0.333)
O (0.025, 0.536, 0.733)
O (0.025, 0.964, 0.233)
O (0.075, 0.214, 0.767)
O (0.075, 0.286, 0.267)
O (0.207, 0.684, 0.126)
O (0.207, 0.816, 0.626)
O (0.223, 0.569, 0.958)
O (0.223, 0.931, 0.458)
O (0.225, 0.679, 0.542)
O (0.225, 0.821, 0.042)
O (0.248, 0.566, 0.371)
O (0.248, 0.934, 0.871)
O (0.252, 0.066, 0.371)
O (0.252, 0.434, 0.871)
O (0.275, 0.179, 0.542)
O (0.275, 0.321, 0.042)
O (0.277, 0.069, 0.958)
O (0.277, 0.431, 0.458)
O (0.293, 0.184, 0.126)
O (0.293, 0.316, 0.626)
O (0.425, 0.714, 0.767)
O (0.425, 0.786, 0.267)
O (0.475, 0.036, 0.733)
O (0.475, 0.464, 0.233)
O (0.525, 0.536, 0.767)
O (0.525, 0.964, 0.267)
O (0.575, 0.214, 0.733)
O (0.575, 0.286, 0.233)
O (0.707, 0.684, 0.374)
O (0.707, 0.816, 0.874)
O (0.723, 0.569, 0.542)
O (0.723, 0.931, 0.042)
O (0.725, 0.679, 0.958)
O (0.725, 0.821, 0.458)
O (0.748, 0.566, 0.129)
O (0.748, 0.934, 0.629)
O (0.752, 0.066, 0.129)
O (0.752, 0.434, 0.629)
O (0.775, 0.179, 0.958)
O (0.775, 0.321, 0.458)
O (0.777, 0.069, 0.542)
O (0.777, 0.431, 0.042)
O (0.793, 0.184, 0.374)
O (0.793, 0.316, 0.874)
O (0.925, 0.714, 0.733)
O (0.925, 0.786, 0.233)
O (0.975, 0.036, 0.767)
O (0.975, 0.464, 0.267)

Stability, highest: run P